## Ca8Al9Fe3Si12H4O52 (PBE with a Hubbard U)

Data for crystalline Ca8Al9Fe3Si12H4O52 at its relaxed geometry.

Cell: 8.9934 5.6944 18.5920 Å, 90.00 90.41 90.00°
With the nearest neighbours (Å) after each atom.
Sites, in units of the cell vectors:
Ca (0.0000, 0.0000, 0.0000)  1 O 2.26
Ca (0.0760, 0.5000, 0.7130)  5 O 2.30-2.49
Ca (0.2129, 0.0000, 0.3666)  6 O 2.32-2.59
Ca (0.2893, 0.5000, 0.0793)  1 O 2.27
Ca (0.4997, 0.0000, 0.4997)  1 O 2.26
Ca (0.5764, 0.5000, 0.2130)  6 O 2.32-2.59
Ca (0.7130, 0.0000, 0.8657)  6 O 2.33-2.59
Ca (0.7906, 0.5000, 0.5801)  1 O 2.26
Al (0.1440, 0.2495, 0.5403)  6 O 1.87-1.96
Al (0.1440, 0.7505, 0.5403)  6 O 1.87-1.96
Al (0.3975, 0.2495, 0.7889)  6 O 1.87-1.99
Al (0.3975, 0.7505, 0.7889)  6 O 1.87-1.99
Al (0.5711, 0.0000, 0.6753)  4 O 1.80-1.93
Al (0.6447, 0.2499, 0.0397)  6 O 1.87-1.95
Al (0.6447, 0.7501, 0.0397)  6 O 1.87-1.95
Al (0.8948, 0.2501, 0.2898)  6 O 1.86-1.99
Al (0.8948, 0.7499, 0.2898)  6 O 1.86-1.99
Fe (0.0758, 0.0000, 0.1781)  4 O 1.90-2.03
Fe (0.2146, 0.5000, 0.9011)  4 O 1.91-2.04
Fe (0.7136, 0.5000, 0.4016)  4 O 1.90-2.04
Si (0.0806, 0.0000, 0.8126)  4 O 1.59-1.67
Si (0.2092, 0.5000, 0.2669)  4 O 1.59-1.67
Si (0.3460, 0.5000, 0.4276)  4 O 1.61-1.65
Si (0.3704, 0.0000, 0.9489)  4 O 1.64-1.69
Si (0.4213, 0.5000, 0.6317)  4 O 1.65-1.68
Si (0.4433, 0.0000, 0.1524)  4 O 1.61-1.65
Si (0.5803, 0.0000, 0.3129)  4 O 1.59-1.67
Si (0.7094, 0.5000, 0.7663)  4 O 1.59-1.67
Si (0.8463, 0.5000, 0.9272)  4 O 1.61-1.65
Si (0.8704, 0.0000, 0.4493)  4 O 1.64-1.68
Si (0.9190, 0.5000, 0.1304)  4 O 1.64-1.69
Si (0.9359, 0.0000, 0.6533)  4 O 1.61-1.64
H (0.0023, 0.5000, 0.4538)  1 O 0.98
H (0.2879, 0.0000, 0.6265)  1 O 0.99
H (0.5020, 0.5000, 0.9535)  1 O 0.98
H (0.7874, 0.0000, 0.1263)  1 O 0.98
O (0.0148, 0.2348, 0.6191)  1 Si 1.64
O (0.0148, 0.7652, 0.6191)  1 Si 1.64
O (0.0205, 0.2688, 0.1112)  1 Si 1.64
O (0.0205, 0.7312, 0.1112)  1 Si 1.64
O (0.0222, 0.5000, 0.9434)  1 Si 1.61
O (0.0267, 0.5000, 0.5055)  1 H 0.98
O (0.0325, 0.0000, 0.4927)  1 Si 1.66
O (0.1071, 0.2555, 0.2706)  1 Si 1.67
O (0.1071, 0.7445, 0.2706)  1 Si 1.67
O (0.1840, 0.2427, 0.8082)  1 Si 1.67
O (0.1840, 0.7573, 0.8082)  1 Si 1.67
O (0.2594, 0.5000, 0.5871)  1 Si 1.67
O (0.2627, 0.0000, 0.5748)  1 H 0.99
O (0.2676, 0.0000, 0.1361)  1 Si 1.61
O (0.2691, 0.2313, 0.9686)  1 Si 1.64
O (0.2692, 0.2627, 0.4602)  1 Si 1.64
O (0.2692, 0.7373, 0.4602)  1 Si 1.64
O (0.2691, 0.7687, 0.9686)  1 Si 1.64
O (0.3143, 0.5000, 0.3402)  2 Si 1.65
O (0.3195, 0.5000, 0.2007)  1 Si 1.59
O (0.3636, 0.5000, 0.7173)  1 Si 1.68
O (0.3916, 0.0000, 0.7235)  3 Al 1.85-1.87, 1 H 2.02
O (0.4097, 0.5000, 0.8535)  2 Al 1.87, 1 Fe 1.97, 1 H 2.03
O (0.4253, 0.0000, 0.8623)  1 Si 1.69
O (0.4701, 0.0000, 0.3791)  1 Si 1.59
O (0.4753, 0.0000, 0.2397)  2 Si 1.65
O (0.5202, 0.2371, 0.1197)  1 Si 1.64
O (0.5202, 0.7629, 0.1197)  1 Si 1.64
O (0.5215, 0.2638, 0.6148)  1 Si 1.65
O (0.5215, 0.7362, 0.6148)  1 Si 1.65
O (0.5218, 0.5000, 0.4442)  1 Si 1.61
O (0.5261, 0.5000, 0.0052)  1 H 0.98
O (0.5321, 0.0000, 0.9928)  1 Si 1.66
O (0.6086, 0.2543, 0.7688)  1 Si 1.67
O (0.6086, 0.7457, 0.7688)  1 Si 1.67
O (0.6823, 0.2447, 0.3094)  1 Si 1.67
O (0.6823, 0.7553, 0.3094)  1 Si 1.67
O (0.7570, 0.5000, 0.0870)  1 Si 1.66
O (0.7583, 0.0000, 0.6419)  1 Si 1.61, 1 Al 1.80
O (0.7632, 0.0000, 0.0746)  1 H 0.98
O (0.7688, 0.2310, 0.4689)  1 Si 1.64
O (0.7694, 0.2628, 0.9600)  1 Si 1.64
O (0.7694, 0.7372, 0.9600)  1 Si 1.64
O (0.7688, 0.7690, 0.4689)  1 Si 1.64
O (0.8134, 0.5000, 0.8400)  2 Si 1.65
O (0.8211, 0.5000, 0.7007)  1 Si 1.59
O (0.8642, 0.5000, 0.2169)  1 Si 1.69
O (0.8805, 0.0000, 0.2258)  2 Al 1.86, 1 Fe 1.97, 1 H 2.02
O (0.9089, 0.5000, 0.3541)  2 Al 1.86, 1 Fe 1.97, 1 H 2.03
O (0.9252, 0.0000, 0.3629)  1 Si 1.68
O (0.9705, 0.0000, 0.8790)  1 Si 1.59
O (0.9747, 0.0000, 0.7398)  2 Si 1.64-1.65

**Space group**: Pm, No. 6
**Formation enthalpy at 0 K**: -3.13 eV/atom